Entry 1:
## YbAl2Ga2 (r2SCAN)

Data for a relaxed YbAl2Ga2 crystal.

Calculated values
The electronic total energy is -149.5 eV for the cell shown. The value obtained for the total magnetic moment is 0.00 μB/cell. The energy relative to the elements comes out at -1.86 eV/f.u.

abc: 4.0766 4.0766 11.0191
angles: 90.00 90.00 90.00
Closest atoms and distances in Å follow each position.
Fractional positions:
Yb1 0.0000 0.0000 0.0000  8 Ga 3.12, 8 Al 3.43
Yb2 0.5000 0.5000 0.5000  8 Ga 3.12, 8 Al 3.43
Al1 0.0000 0.5000 0.2500  4 Ga 2.56
Al2 0.0000 0.5000 0.7500  4 Ga 2.56
Al3 0.5000 0.0000 0.2500  4 Ga 2.56
Al4 0.5000 0.0000 0.7500  4 Ga 2.56
Ga1 0.0000 0.0000 0.3911  1 Ga 2.40, 4 Al 2.56
Ga2 0.0000 0.0000 0.6089  1 Ga 2.40, 4 Al 2.56
Ga3 0.5000 0.5000 0.1089  1 Ga 2.40, 4 Al 2.56
Ga4 0.5000 0.5000 0.8911  1 Ga 2.40, 4 Al 2.56

=====

Entry 2:
## V2Te2O9 (r2SCAN)

Data for a relaxed V2Te2O9 crystal.

Calculated values
The electronic total energy is -625.9 eV for the cell shown. The value obtained for the energy above the most stable polymorph in this dataset is 0 meV per atom. The value obtained for the total magnetic moment is 0.00 μB/cell. The energy relative to the elements comes out at -23.70 eV/f.u.

abc: 7.2076 9.5303 10.0383
angles: 90.00 94.25 90.00
Closest atoms and distances in Å follow each position.
Fractional positions:
V1 0.0019 0.2487 0.4616  2 O 1.62-1.74
V2 0.0019 0.2513 0.9616  2 O 1.62-1.74
V3 0.2914 0.0353 0.2635  1 O 1.60
V4 0.2914 0.4647 0.7635  1 O 1.60
V5 0.7086 0.5353 0.2365  1 O 1.60
V6 0.7086 0.9647 0.7365  1 O 1.60
V7 0.9981 0.7487 0.0384  2 O 1.62-1.74
V8 0.9981 0.7513 0.5384  2 O 1.62-1.74
Te1 0.1409 0.5193 0.2862  3 O 1.91-2.01
Te2 0.1409 0.9807 0.7862  3 O 1.91-2.01
Te3 0.4555 0.7225 0.5587  3 O 1.88-1.96
Te4 0.4555 0.7775 0.0587  3 O 1.88-1.96
Te5 0.5445 0.2225 0.9413  3 O 1.88-1.96
Te6 0.5445 0.2775 0.4413  3 O 1.88-1.96
Te7 0.8591 0.0193 0.2138  3 O 1.91-2.01
Te8 0.8591 0.4807 0.7138  3 O 1.91-2.01
O1 0.0605 0.1379 0.3064  2 V 1.95-2.00, 1 Te 2.01
O2 0.0605 0.3621 0.8064  2 V 1.95-2.00, 1 Te 2.01
O3 0.0741 0.1347 0.5740  1 V 1.62
O4 0.0741 0.3653 0.0740  1 V 1.62
O5 0.0916 0.5615 0.6726  1 V 1.89, 1 Te 1.92
O6 0.0916 0.9385 0.1726  1 V 1.89, 1 Te 1.92
O7 0.1711 0.6522 0.4284  1 Te 1.91, 1 V 1.97
O8 0.1711 0.8478 0.9284  1 Te 1.91, 1 V 1.97
O9 0.1945 0.1424 0.9521  1 V 1.74
O10 0.1945 0.3576 0.4521  1 V 1.74
O11 0.2434 0.6953 0.1257  1 Te 1.88, 1 V 1.98
O12 0.2434 0.8047 0.6257  1 Te 1.88, 1 V 1.98
O13 0.3496 0.5459 0.9000  1 V 1.60
O14 0.3496 0.9541 0.4000  1 V 1.60
O15 0.4080 0.2020 0.2810  1 V 1.80, 1 Te 1.96
O16 0.4080 0.2980 0.7810  1 V 1.80, 1 Te 1.96
O17 0.4442 0.5428 0.6410  1 V 1.87, 1 Te 1.91
O18 0.4442 0.9572 0.1410  1 V 1.87, 1 Te 1.91
O19 0.5558 0.0428 0.8590  1 V 1.87, 1 Te 1.91
O20 0.5558 0.4572 0.3590  1 V 1.87, 1 Te 1.91
O21 0.5920 0.7020 0.2190  1 V 1.80, 1 Te 1.96
O22 0.5920 0.7980 0.7190  1 V 1.80, 1 Te 1.96
O23 0.6504 0.0459 0.6000  1 V 1.60
O24 0.6504 0.4541 0.1000  1 V 1.60
O25 0.7566 0.1953 0.3743  1 Te 1.88, 1 V 1.98
O26 0.7566 0.3047 0.8743  1 Te 1.88, 1 V 1.98
O27 0.8055 0.6424 0.5479  1 V 1.74
O28 0.8055 0.8576 0.0479  1 V 1.74
O29 0.8289 0.1522 0.0716  1 Te 1.91, 1 V 1.97
O30 0.8289 0.3478 0.5716  1 Te 1.91, 1 V 1.97
O31 0.9084 0.0615 0.8274  1 V 1.89, 1 Te 1.92
O32 0.9084 0.4385 0.3274  1 V 1.89, 1 Te 1.92
O33 0.9259 0.6347 0.9260  1 V 1.62
O34 0.9259 0.8653 0.4260  1 V 1.62
O35 0.9395 0.6379 0.1936  2 V 1.95-2.00, 1 Te 2.01
O36 0.9395 0.8621 0.6936  2 V 1.95-2.00, 1 Te 2.01

=====

> total magnetic moment of number 2 (V2Te2O9)?

0.00 μB/cell

=====

> energy relative to the elements of number 2 (V2Te2O9)?

-23.70 eV/f.u.

=====

> What is the total magnetic moment in the first record?

0.00 μB/cell

=====

Repeat the first record exactly.
## YbAl2Ga2 (r2SCAN)

Data for a relaxed YbAl2Ga2 crystal.

Calculated values
The electronic total energy is -149.5 eV for the cell shown. The value obtained for the total magnetic moment is 0.00 μB/cell. The energy relative to the elements comes out at -1.86 eV/f.u.

abc: 4.0766 4.0766 11.0191
angles: 90.00 90.00 90.00
Closest atoms and distances in Å follow each position.
Fractional positions:
Yb1 0.0000 0.0000 0.0000  8 Ga 3.12, 8 Al 3.43
Yb2 0.5000 0.5000 0.5000  8 Ga 3.12, 8 Al 3.43
Al1 0.0000 0.5000 0.2500  4 Ga 2.56
Al2 0.0000 0.5000 0.7500  4 Ga 2.56
Al3 0.5000 0.0000 0.2500  4 Ga 2.56
Al4 0.5000 0.0000 0.7500  4 Ga 2.56
Ga1 0.0000 0.0000 0.3911  1 Ga 2.40, 4 Al 2.56
Ga2 0.0000 0.0000 0.6089  1 Ga 2.40, 4 Al 2.56
Ga3 0.5000 0.5000 0.1089  1 Ga 2.40, 4 Al 2.56
Ga4 0.5000 0.5000 0.8911  1 Ga 2.40, 4 Al 2.56